# 1
VASP calculation (GGA-PBE) on a relaxed structure of AuO2F. Values from VASP.

Output
Electronic total energy, eV/atom: -4.094
Energy relative to the elements, eV/atom: -0.519

Structure (Quantum ESPRESSO input):
```
&SYSTEM
  ibrav = 0, nat = 8, ntyp = 3
/
ATOMIC_SPECIES
O 16.00 O.upf
F 19.00 F.upf
Au 196.97 Au.upf
CELL_PARAMETERS angstrom
-3.2767 1.7118 -4.0747
-0.6056 -5.4616 -0.2715
-3.3365 0.2318 2.7804
ATOMIC_POSITIONS crystal
O 0.2151 0.9715 0.2827
O 0.7849 0.0285 0.7827
O 0.9715 0.2151 0.7173
O 0.0285 0.7849 0.2173
F 0.3850 0.6150 0.7500
F 0.6150 0.3850 0.2500
Au 0.7240 0.7240 0.5000
Au 0.2760 0.2760 0.0000
```

***

# 2
VASP calculation (GGA-PBE) on a relaxed structure of ErCr2Si2. Values from VASP.

Output
Electronic total energy, eV/atom: -7.375
Energy relative to the elements, eV/atom: -0.402

Structure (Quantum ESPRESSO input):
```
&SYSTEM
  ibrav = 0, nat = 5, ntyp = 3
/
ATOMIC_SPECIES
Cr 52.00 Cr.upf
Er 167.26 Er.upf
Si 28.09 Si.upf
CELL_PARAMETERS angstrom
-1.9168 1.9168 5.3318
1.9168 -1.9168 5.3318
1.9168 1.9168 -5.3318
ATOMIC_POSITIONS crystal
Cr 0.7500 0.2500 0.5000
Cr 0.2500 0.7500 0.5000
Er 0.0000 0.0000 0.0000
Si 0.3855 0.3855 0.0000
Si 0.6145 0.6145 0.0000
```

***

# 3
VASP calculation (GGA-PBE) on a relaxed structure of MgP2H20C4N8O12. Values from VASP.

Output
Electronic total energy, eV/atom: -6.140
Energy relative to the elements, eV/atom: -1.139

Structure (Quantum ESPRESSO input):
```
&SYSTEM
  ibrav = 0, nat = 94, ntyp = 6
/
ATOMIC_SPECIES
O 16.00 O.upf
P 30.97 P.upf
H 1.01 H.upf
N 14.01 N.upf
C 12.01 C.upf
Mg 24.30 Mg.upf
CELL_PARAMETERS angstrom
21.7966 0.0000 0.0000
0.0000 5.4227 0.0000
0.0000 5.2605 7.3954
ATOMIC_POSITIONS crystal
O 0.3593 0.2252 0.7344
O 0.5667 0.7256 0.7151
O 0.3904 0.5768 0.4016
O 0.2746 0.5422 0.7584
O 0.9628 0.8294 0.8626
O 0.2254 0.5422 0.2584
O 0.0372 0.1706 0.1374
O 0.8904 0.4232 0.0984
O 0.5372 0.8294 0.3626
O 0.9361 0.3583 0.8656
O 0.5639 0.3583 0.3656
O 0.8593 0.7748 0.7656
O 0.6407 0.7748 0.2656
O 0.7254 0.4578 0.2416
O 0.6096 0.4232 0.5984
O 0.9333 0.7256 0.2151
O 0.1096 0.5768 0.9016
O 0.4333 0.2744 0.2849
O 0.4628 0.1706 0.6374
O 0.1407 0.2252 0.2344
O 0.7746 0.4578 0.7416
O 0.0667 0.2744 0.7849
O 0.0639 0.6417 0.1344
O 0.4361 0.6417 0.6344
P 0.5841 0.5950 0.3958
P 0.9159 0.5950 0.8958
P 0.4159 0.4050 0.6042
P 0.0841 0.4050 0.1042
H 0.7978 0.8300 0.4514
H 0.3439 0.9294 0.4992
H 0.1561 0.9294 0.9992
H 0.8864 0.3539 0.6231
H 0.5440 0.7091 0.0671
H 0.1315 0.7066 0.5373
H 0.4056 0.4710 0.3450
H 0.2875 0.2147 0.3978
H 0.3864 0.6461 0.8769
H 0.8685 0.2934 0.4627
H 0.6729 0.6396 0.2644
H 0.1813 0.8238 0.7478
H 0.1136 0.6461 0.3769
H 0.9056 0.5290 0.1550
H 0.6561 0.0706 0.5008
H 0.7125 0.7853 0.6022
H 0.3685 0.7066 0.0373
H 0.5113 0.9521 0.8460
H 0.3271 0.3604 0.7356
H 0.2022 0.1700 0.5486
H 0.5944 0.5290 0.6550
H 0.9887 0.9521 0.3460
H 0.6315 0.2934 0.9627
H 0.7875 0.7853 0.1022
H 0.6813 0.1762 0.7522
H 0.6136 0.3539 0.1231
H 0.3187 0.8238 0.2478
H 0.8187 0.1762 0.2522
H 0.2978 0.1700 0.0486
H 0.0440 0.2909 0.4329
H 0.4560 0.2909 0.9329
H 0.0113 0.0479 0.6540
H 0.4887 0.0479 0.1540
H 0.9560 0.7091 0.5671
H 0.1729 0.3604 0.2356
H 0.7022 0.8300 0.9514
H 0.2125 0.2147 0.8978
H 0.8271 0.6396 0.7644
H 0.8439 0.0706 0.0008
H 0.0944 0.4710 0.8450
N 0.2005 0.9937 0.9913
N 0.7084 0.0577 0.8645
N 0.7995 0.0063 0.0087
N 0.8845 0.4394 0.4895
N 0.6155 0.4394 0.9895
N 0.0437 0.2017 0.5672
N 0.7916 0.0577 0.3645
N 0.2084 0.9423 0.6355
N 0.7005 0.0063 0.5087
N 0.2995 0.9937 0.4913
N 0.9563 0.7983 0.4328
N 0.3845 0.5606 0.0105
N 0.4563 0.2017 0.0672
N 0.5437 0.7983 0.9328
N 0.2916 0.9423 0.1355
N 0.1155 0.5606 0.5105
C 0.2380 0.8169 0.1340
C 0.9257 0.6538 0.3758
C 0.5743 0.6538 0.8758
C 0.7380 0.1831 0.3660
C 0.4257 0.3462 0.1242
C 0.0743 0.3462 0.6242
C 0.7620 0.1831 0.8660
C 0.2620 0.8169 0.6340
Mg 0.5000 0.0000 0.5000
Mg 0.0000 0.0000 0.0000
```

***

# 4
VASP calculation (GGA-PBE) on a relaxed structure of CsFe2Te3. Values from VASP.

Output
Electronic total energy, eV/atom: -4.787
Energy relative to the elements, eV/atom: -0.454

Structure (Quantum ESPRESSO input):
```
&SYSTEM
  ibrav = 0, nat = 12, ntyp = 3
/
ATOMIC_SPECIES
Te 127.60 Te.upf
Cs 132.91 Cs.upf
Fe 55.84 Fe.upf
CELL_PARAMETERS angstrom
-3.9426 -1.9020 -3.6924
5.2538 1.0947 -6.1737
1.3214 -7.6638 2.5368
ATOMIC_POSITIONS crystal
Te 0.2500 0.6169 0.8301
Te 0.2500 0.1168 0.8832
Te 0.7500 0.8301 0.6169
Te 0.7500 0.8832 0.1168
Te 0.2500 0.1699 0.3831
Te 0.7500 0.3831 0.1699
Cs 0.2500 0.6778 0.3222
Cs 0.7500 0.3222 0.6778
Fe 0.0000 0.1353 0.1353
Fe 0.0000 0.8647 0.8647
Fe 0.5000 0.8647 0.8647
Fe 0.5000 0.1353 0.1353
```

***

# 5
VASP calculation (GGA-PBE) on a relaxed structure of CsCu2I3. Values from VASP.

Output
Electronic total energy, eV/atom: -2.898
Energy relative to the elements, eV/atom: -0.810

Structure (Quantum ESPRESSO input):
```
&SYSTEM
  ibrav = 0, nat = 12, ntyp = 3
/
ATOMIC_SPECIES
Cs 132.91 Cs.upf
Cu 63.55 Cu.upf
I 126.90 I.upf
CELL_PARAMETERS angstrom
0.0000 0.0000 -6.0836
-5.2487 -6.9167 0.0000
-5.2487 6.9167 0.0000
ATOMIC_POSITIONS crystal
Cs 0.2500 0.6722 0.3278
Cs 0.7500 0.3278 0.6722
Cu 0.0000 0.1375 0.1375
Cu 0.5000 0.8625 0.8625
Cu 0.0000 0.8625 0.8625
Cu 0.5000 0.1375 0.1375
I 0.2500 0.1205 0.8795
I 0.7500 0.3919 0.1608
I 0.2500 0.6081 0.8392
I 0.7500 0.8392 0.6081
I 0.7500 0.8795 0.1205
I 0.2500 0.1608 0.3919
```

***

# 6
VASP calculation (GGA-PBE) on a relaxed structure of SrH6C2O6. Values from VASP.

Output
Electronic total energy, eV/atom: -5.520
Energy above the lowest structure with this stoichiometry, meV/atom: 472
Energy relative to the elements, eV/atom: -1.115

Structure (Quantum ESPRESSO input):
```
&SYSTEM
  ibrav = 0, nat = 60, ntyp = 4
/
ATOMIC_SPECIES
Sr 87.62 Sr.upf
O 16.00 O.upf
C 12.01 C.upf
H 1.01 H.upf
CELL_PARAMETERS angstrom
6.7902 0.0000 0.0000
0.0000 8.4024 0.0000
0.0000 0.0000 12.7590
ATOMIC_POSITIONS crystal
Sr 0.3029 0.6614 0.1094
Sr 0.1971 0.3386 0.6094
Sr 0.8029 0.8386 0.8906
Sr 0.6971 0.1614 0.3906
O 0.7904 0.8105 0.0940
O 0.4054 0.4424 0.7613
O 0.0032 0.3442 0.4351
O 0.0946 0.5576 0.2613
O 0.3823 0.3858 0.1006
O 0.3655 0.0257 0.9897
O 0.8655 0.4743 0.0103
O 0.7096 0.1895 0.5940
O 0.4947 0.6687 0.2823
O 0.5032 0.1558 0.5649
O 0.6177 0.8858 0.3994
O 0.9968 0.8442 0.0649
O 0.9054 0.0576 0.2387
O 0.1345 0.9743 0.4897
O 0.8823 0.1142 0.8994
O 0.6345 0.5257 0.5103
O 0.9947 0.8313 0.7177
O 0.0053 0.3313 0.7823
O 0.4968 0.6558 0.9351
O 0.5946 0.9424 0.7387
O 0.5053 0.1687 0.2177
O 0.1177 0.6142 0.6006
O 0.2096 0.3105 0.4060
O 0.2904 0.6895 0.9060
C 0.6401 0.6281 0.5692
C 0.4406 0.9482 0.6863
C 0.5594 0.4482 0.8137
C 0.1401 0.8719 0.4308
C 0.8599 0.3719 0.0692
C 0.9406 0.5518 0.3137
C 0.3599 0.1281 0.9308
C 0.0594 0.0518 0.1863
H 0.6887 0.5144 0.7845
H 0.0818 0.1314 0.1190
H 0.5518 0.7631 0.3308
H 0.7235 0.1284 0.6593
H 0.7765 0.8716 0.1593
H 0.9482 0.2369 0.8308
H 0.5818 0.3686 0.8810
H 0.3113 0.0144 0.7155
H 0.6062 0.1199 0.1739
H 0.1887 0.9856 0.2155
H 0.1062 0.3801 0.8261
H 0.9182 0.6314 0.3810
H 0.2765 0.6284 0.8407
H 0.5109 0.8935 0.4500
H 0.8938 0.8801 0.6739
H 0.8113 0.4856 0.2845
H 0.4482 0.2631 0.1692
H 0.4182 0.8686 0.6190
H 0.0518 0.7369 0.6692
H 0.3938 0.6199 0.3261
H 0.4891 0.3935 0.0500
H 0.2235 0.3716 0.3407
H 0.9891 0.1065 0.9500
H 0.0109 0.6065 0.5500
```

***

# 7
VASP calculation (GGA-PBE) on a relaxed structure of Sm3AlFeS7. Values from VASP.

Output
Electronic total energy, eV/atom: -6.170
Energy relative to the elements, eV/atom: -1.853

Structure (Quantum ESPRESSO input):
```
&SYSTEM
  ibrav = 0, nat = 24, ntyp = 4
/
ATOMIC_SPECIES
Sm 150.36 Sm.upf
S 32.06 S.upf
Al 26.98 Al.upf
Fe 55.84 Fe.upf
CELL_PARAMETERS angstrom
-4.8681 8.4951 0.2059
2.3708 -4.4893 8.3746
5.4115 3.0979 0.1287
ATOMIC_POSITIONS crystal
Sm 0.1493 0.3763 0.7284
Sm 0.8507 0.6237 0.2284
Sm 0.6237 0.7731 0.7284
Sm 0.2269 0.8507 0.7284
Sm 0.7731 0.1493 0.2284
Sm 0.3763 0.2269 0.2284
S 0.4808 0.9061 0.0020
S 0.8646 0.0950 0.8170
S 0.0939 0.5746 0.0020
S 0.5192 0.0939 0.5020
S 0.9061 0.4254 0.5020
S 0.1354 0.9050 0.3170
S 0.6667 0.3333 0.0134
S 0.2304 0.1354 0.8170
S 0.9050 0.7696 0.8170
S 0.3333 0.6667 0.5134
S 0.4254 0.5192 0.0020
S 0.7696 0.8646 0.3170
S 0.5746 0.4808 0.5020
S 0.0950 0.2304 0.3170
Al 0.3333 0.6667 0.1536
Al 0.6667 0.3333 0.6536
Fe 0.0000 0.0000 0.5547
Fe 0.0000 0.0000 0.0547
```

***

# 8
VASP calculation (GGA-PBE) on a relaxed structure of TbOF. Values from VASP.

Output
Electronic total energy, eV/atom: -7.521
Energy relative to the elements, eV/atom: -4.071

Structure (Quantum ESPRESSO input):
```
&SYSTEM
  ibrav = 0, nat = 6, ntyp = 3
/
ATOMIC_SPECIES
O 16.00 O.upf
Tb 158.93 Tb.upf
F 19.00 F.upf
CELL_PARAMETERS angstrom
3.1292 -5.2198 1.1858
4.9650 -1.7929 3.2525
-1.7169 -1.3460 3.7567
ATOMIC_POSITIONS crystal
O 0.5776 0.5776 0.1995
O 0.4224 0.4224 0.8005
Tb 0.3843 0.3843 0.3237
Tb 0.6157 0.6157 0.6763
F 0.1747 0.1747 0.6127
F 0.8253 0.8253 0.3873
```